# BaNaCrF6, optimized geometry, DFT PBE+U
# Energy of formation from the pure elements: -31.2 eV per formula unit
# Total moment: 0.33 μB per atom
# Electronic total energy: -5.6401 eV/atom
data_BaNaCrF6
_chemical_formula_sum 'Ba8 Na8 Cr8 F48'
_cell_length_a 19.431
_cell_length_b 5.651
_cell_length_c 10.096
_cell_angle_alpha 90.00
_cell_angle_beta 90.00
_cell_angle_gamma 90.00
_symmetry_space_group_name_H-M 'P 1'
_symmetry_Int_Tables_number 1
loop_
_symmetry_equiv_pos_as_xyz
'x,y,z'
loop_
_atom_site_label
_atom_site_type_symbol
_atom_site_fract_x
_atom_site_fract_y
_atom_site_fract_z
Ba1 Ba 0.113 0.243 0.000
Ba2 Ba 0.136 0.742 0.635
Ba3 Ba 0.364 0.242 0.135
Ba4 Ba 0.387 0.743 0.500
Ba5 Ba 0.613 0.257 0.000
Ba6 Ba 0.636 0.758 0.635
Ba7 Ba 0.864 0.258 0.135
Ba8 Ba 0.887 0.757 0.500
Na1 Na 0.064 0.742 0.269
Na2 Na 0.187 0.240 0.364
Na3 Na 0.313 0.740 0.864
Na4 Na 0.436 0.242 0.769
Na5 Na 0.564 0.758 0.269
Na6 Na 0.687 0.260 0.364
Na7 Na 0.813 0.760 0.864
Na8 Na 0.936 0.258 0.769
Cr1 Cr 0.006 0.237 0.395
Cr2 Cr 0.245 0.747 0.239
Cr3 Cr 0.255 0.247 0.739
Cr4 Cr 0.494 0.737 0.895
Cr5 Cr 0.506 0.263 0.395
Cr6 Cr 0.745 0.753 0.239
Cr7 Cr 0.755 0.253 0.739
Cr8 Cr 0.994 0.763 0.895
F1 F 0.036 0.502 0.797
F2 F 0.039 0.957 0.487
F3 F 0.059 0.978 0.808
F4 F 0.060 0.704 0.038
F5 F 0.070 0.171 0.251
F6 F 0.074 0.454 0.462
F7 F 0.180 0.521 0.172
F8 F 0.181 0.802 0.385
F9 F 0.189 0.198 0.596
F10 F 0.192 0.471 0.825
F11 F 0.208 0.021 0.149
F12 F 0.211 0.989 0.836
F13 F 0.289 0.489 0.336
F14 F 0.292 0.521 0.649
F15 F 0.308 0.971 0.325
F16 F 0.311 0.698 0.096
F17 F 0.319 0.302 0.885
F18 F 0.320 0.021 0.672
F19 F 0.426 0.954 0.962
F20 F 0.430 0.671 0.751
F21 F 0.440 0.204 0.538
F22 F 0.441 0.478 0.308
F23 F 0.461 0.457 0.987
F24 F 0.464 0.002 0.297
F25 F 0.536 0.998 0.797
F26 F 0.539 0.543 0.487
F27 F 0.559 0.522 0.808
F28 F 0.560 0.796 0.038
F29 F 0.570 0.329 0.251
F30 F 0.574 0.046 0.462
F31 F 0.680 0.979 0.172
F32 F 0.681 0.698 0.385
F33 F 0.689 0.302 0.596
F34 F 0.692 0.029 0.825
F35 F 0.708 0.479 0.149
F36 F 0.711 0.511 0.836
F37 F 0.789 0.011 0.336
F38 F 0.792 0.979 0.649
F39 F 0.808 0.529 0.325
F40 F 0.811 0.802 0.096
F41 F 0.819 0.198 0.885
F42 F 0.820 0.479 0.672
F43 F 0.926 0.546 0.962
F44 F 0.930 0.829 0.751
F45 F 0.940 0.296 0.538
F46 F 0.941 0.022 0.308
F47 F 0.961 0.043 0.987
F48 F 0.964 0.498 0.297